Entry w
# KB6H6O6 | the Materials Project | PBE | optimized geometry
data_KB6H6O6
_space_group_name_H-M_alt 'P 1'
_space_group_IT_number 1
_space_group_name_Hall 'P 1'
_cell_length_a 7.2064
_cell_length_b 10.2578
_cell_length_c 11.2108
_cell_angle_alpha 90.00
_cell_angle_beta 125.75
_cell_angle_gamma 90.00
loop_
_atom_site_label
_atom_site_fract_x
_atom_site_fract_y
_atom_site_fract_z
K1 0.2467 0.0510 0.0124
K2 0.2467 0.4490 0.5124
K3 0.7533 0.5510 0.4876
K4 0.7533 0.9490 0.9876
B1 0.0245 0.6599 0.9675
B2 0.0245 0.8401 0.4675
B3 0.0798 0.5285 0.8853
B4 0.0798 0.9715 0.3853
B5 0.1043 0.6042 0.1433
B6 0.1043 0.8958 0.6433
B7 0.1952 0.1048 0.5139
B8 0.1952 0.3952 0.0139
B9 0.2074 0.0588 0.6720
B10 0.2074 0.4412 0.1720
B11 0.2714 0.5586 0.0804
B12 0.2714 0.9414 0.5804
B13 0.7286 0.0586 0.4196
B14 0.7286 0.4414 0.9196
B15 0.7926 0.5588 0.8280
B16 0.7926 0.9412 0.3280
B17 0.8048 0.6048 0.9861
B18 0.8048 0.8952 0.4861
B19 0.8957 0.1042 0.3567
B20 0.8957 0.3958 0.8567
B21 0.9202 0.0285 0.6147
B22 0.9202 0.4715 0.1147
B23 0.9755 0.1599 0.5325
B24 0.9755 0.3401 0.0325
H1 0.0836 0.6926 0.3772
H2 0.0836 0.8074 0.8772
H3 0.1549 0.6395 0.7690
H4 0.1549 0.8605 0.2690
H5 0.3550 0.7163 0.3173
H6 0.3550 0.7837 0.8173
H7 0.3827 0.0482 0.3237
H8 0.3827 0.4518 0.8237
H9 0.4151 0.1709 0.4709
H10 0.4151 0.3291 0.9709
H11 0.4229 0.1966 0.8192
H12 0.4229 0.3034 0.3192
H13 0.5771 0.6966 0.6808
H14 0.5771 0.8034 0.1808
H15 0.5849 0.6709 0.0291
H16 0.5849 0.8291 0.5291
H17 0.6173 0.5482 0.1763
H18 0.6173 0.9518 0.6763
H19 0.6450 0.2163 0.1827
H20 0.6450 0.2837 0.6827
H21 0.8451 0.1395 0.7310
H22 0.8451 0.3605 0.2310
H23 0.9164 0.1926 0.1228
H24 0.9164 0.3074 0.6228
O1 0.0412 0.7029 0.4458
O2 0.0412 0.7971 0.9458
O3 0.1448 0.5456 0.7853
O4 0.1448 0.9544 0.2853
O5 0.1917 0.6949 0.2658
O6 0.1917 0.8051 0.7658
O7 0.3629 0.1965 0.5314
O8 0.3629 0.3035 0.0314
O9 0.3802 0.1053 0.8186
O10 0.3802 0.3947 0.3186
O11 0.4979 0.6145 0.1483
O12 0.4979 0.8855 0.6483
O13 0.5021 0.1145 0.3517
O14 0.5021 0.3855 0.8517
O15 0.6198 0.6053 0.6814
O16 0.6198 0.8947 0.1814
O17 0.6371 0.6965 0.9686
O18 0.6371 0.8035 0.4686
O19 0.8083 0.1949 0.2342
O20 0.8083 0.3051 0.7342
O21 0.8552 0.0456 0.7147
O22 0.8552 0.4544 0.2147
O23 0.9588 0.2029 0.0542
O24 0.9588 0.2971 0.5542
# **Size of the total moment**: 0.00 μB/cell
# **Space group**: P2_1/c

Entry x
# KB6H6O6 | the Materials Project | PBE | optimized geometry
data_KB6H6O6
_space_group_name_H-M_alt 'P 1'
_space_group_IT_number 1
_space_group_name_Hall 'P 1'
_cell_length_a 7.9805
_cell_length_b 10.9840
_cell_length_c 12.3958
_cell_angle_alpha 90.00
_cell_angle_beta 125.86
_cell_angle_gamma 90.00
loop_
_atom_site_label
_atom_site_fract_x
_atom_site_fract_y
_atom_site_fract_z
K1 0.2283 0.0441 0.4858
K2 0.2283 0.4559 0.9858
K3 0.7717 0.5441 0.0142
K4 0.7717 0.9559 0.5142
B1 0.0425 0.1114 0.1614
B2 0.0425 0.3886 0.6614
B3 0.0942 0.0488 0.0649
B4 0.0942 0.4512 0.5649
B5 0.1709 0.1477 0.9977
B6 0.1709 0.3523 0.4977
B7 0.1906 0.5870 0.5518
B8 0.1906 0.9130 0.0518
B9 0.1944 0.5906 0.6988
B10 0.1944 0.9094 0.1988
B11 0.2322 0.7492 0.5918
B12 0.2322 0.7508 0.0918
B13 0.7678 0.2492 0.9082
B14 0.7678 0.2508 0.4082
B15 0.8056 0.0906 0.8012
B16 0.8056 0.4094 0.3012
B17 0.8094 0.0870 0.9482
B18 0.8094 0.4130 0.4482
B19 0.8291 0.6477 0.5023
B20 0.8291 0.8523 0.0023
B21 0.9058 0.5488 0.4351
B22 0.9058 0.9512 0.9351
B23 0.9575 0.6114 0.3386
B24 0.9575 0.8886 0.8386
H1 0.0243 0.2178 0.8012
H2 0.0243 0.2822 0.3012
H3 0.2412 0.0826 0.7602
H4 0.2412 0.4174 0.2602
H5 0.3080 0.5656 0.5228
H6 0.3080 0.9344 0.0228
H7 0.3265 0.1282 0.7842
H8 0.3265 0.3718 0.2842
H9 0.4339 0.2191 0.1463
H10 0.4339 0.2809 0.6463
H11 0.4747 0.6381 0.1700
H12 0.4747 0.8619 0.6700
H13 0.5253 0.1381 0.3300
H14 0.5253 0.3619 0.8300
H15 0.5661 0.7191 0.3537
H16 0.5661 0.7809 0.8537
H17 0.6735 0.6282 0.7158
H18 0.6735 0.8718 0.2158
H19 0.6920 0.0656 0.9772
H20 0.6920 0.4344 0.4772
H21 0.7588 0.5826 0.7398
H22 0.7588 0.9174 0.2398
H23 0.9757 0.7178 0.6988
H24 0.9757 0.7822 0.1988
O1 0.0255 0.1442 0.8544
O2 0.0255 0.3558 0.3544
O3 0.0346 0.1617 0.2473
O4 0.0346 0.3383 0.7473
O5 0.0791 0.6758 0.0196
O6 0.0791 0.8242 0.5196
O7 0.3410 0.2154 0.0470
O8 0.3410 0.2846 0.5470
O9 0.3423 0.5771 0.8233
O10 0.3423 0.9229 0.3233
O11 0.4450 0.7204 0.1844
O12 0.4450 0.7796 0.6844
O13 0.5550 0.2204 0.3156
O14 0.5550 0.2796 0.8156
O15 0.6577 0.0771 0.6767
O16 0.6577 0.4229 0.1767
O17 0.6590 0.7154 0.4530
O18 0.6590 0.7846 0.9530
O19 0.9209 0.1758 0.4804
O20 0.9209 0.3242 0.9804
O21 0.9654 0.6617 0.2527
O22 0.9654 0.8383 0.7527
O23 0.9745 0.6442 0.6456
O24 0.9745 0.8558 0.1456
# **Size of the total moment**: 0.01 μB/cell
# **Space group**: P2_1/c

What should be chosen as the least stable of them? Choose entry x.

Entry w
# Li3BH6 | the Materials Project | PBE | optimized geometry
data_Li3BH6
_space_group_name_H-M_alt 'P 1'
_space_group_IT_number 1
_space_group_name_Hall 'P 1'
_cell_length_a 5.0688
_cell_length_b 5.6129
_cell_length_c 6.3611
_cell_angle_alpha 99.64
_cell_angle_beta 93.52
_cell_angle_gamma 93.82
loop_
_atom_site_label
_atom_site_fract_x
_atom_site_fract_y
_atom_site_fract_z
Li1 0.0000 0.0000 0.0000
Li2 0.0368 0.4060 0.3905
Li3 0.3665 0.6262 0.1624
Li4 0.4975 0.1265 0.2169
Li5 0.7072 0.8977 0.5612
Li6 0.9255 0.4444 0.9127
B1 0.4564 0.5276 0.6350
B2 0.8477 0.7418 0.2113
H1 0.2060 0.2986 0.1459
H2 0.2294 0.9859 0.4152
H3 0.2837 0.4353 0.7316
H4 0.2966 0.0828 0.5070
H5 0.3516 0.6435 0.5094
H6 0.3726 0.1037 0.8657
H7 0.4378 0.9870 0.8740
H8 0.5833 0.3693 0.5387
H9 0.6069 0.6674 0.7658
H10 0.7208 0.5334 0.1519
H11 0.8917 0.1248 0.7684
H12 0.9385 0.7246 0.3946
# **Size of the total moment**: 0.00 μB/cell
# **Space group**: P1

Entry x
# Li3BH6 | the Materials Project | PBE | optimized geometry
data_Li3BH6
_space_group_name_H-M_alt 'P 1'
_space_group_IT_number 1
_space_group_name_Hall 'P 1'
_cell_length_a 5.1706
_cell_length_b 5.6689
_cell_length_c 6.0298
_cell_angle_alpha 84.29
_cell_angle_beta 89.64
_cell_angle_gamma 84.70
loop_
_atom_site_label
_atom_site_fract_x
_atom_site_fract_y
_atom_site_fract_z
Li1 0.0000 0.0000 0.0000
Li2 0.0186 0.4341 0.4567
Li3 0.0592 0.4687 0.9447
Li4 0.3525 0.9489 0.3630
Li5 0.5731 0.1816 0.6956
Li6 0.6452 0.6847 0.7493
B1 0.1741 0.8127 0.7053
B2 0.6076 0.5981 0.2394
H1 0.0873 0.8031 0.5134
H2 0.1340 0.2011 0.1935
H3 0.2960 0.6065 0.7424
H4 0.4615 0.4755 0.3529
H5 0.4851 0.7244 0.0905
H6 0.5065 0.0651 0.9924
H7 0.5801 0.1648 0.0318
H8 0.7190 0.7208 0.3591
H9 0.7288 0.1406 0.3946
H10 0.7726 0.4633 0.1579
H11 0.8022 0.0416 0.4712
H12 0.8216 0.3804 0.7362
# **Size of the total moment**: 0.00 μB/cell
# **Space group**: P1

What should be chosen as the least stable of them? Choose entry x.

Entry w
# Li3BH6 | the Materials Project | PBE | optimized geometry
data_Li3BH6
_space_group_name_H-M_alt 'P 1'
_space_group_IT_number 1
_space_group_name_Hall 'P 1'
_cell_length_a 5.3622
_cell_length_b 5.3622
_cell_length_c 5.3622
_cell_angle_alpha 94.38
_cell_angle_beta 94.38
_cell_angle_gamma 94.38
loop_
_atom_site_label
_atom_site_fract_x
_atom_site_fract_y
_atom_site_fract_z
Li1 0.0062 0.7683 0.5726
Li2 0.2317 0.4274 0.9938
Li3 0.4274 0.9938 0.2317
Li4 0.5726 0.0062 0.7683
Li5 0.7683 0.5726 0.0062
Li6 0.9938 0.2317 0.4274
B1 0.0000 0.0000 0.0000
B2 0.5000 0.5000 0.5000
H1 0.0415 0.5604 0.2597
H2 0.2597 0.0415 0.5604
H3 0.2853 0.5476 0.3942
H4 0.3942 0.2853 0.5476
H5 0.4396 0.7403 0.9585
H6 0.4524 0.6058 0.7147
H7 0.5476 0.3941 0.2853
H8 0.5604 0.2597 0.0415
H9 0.6058 0.7147 0.4524
H10 0.7147 0.4524 0.6058
H11 0.7403 0.9585 0.4396
H12 0.9585 0.4396 0.7403
# **Size of the total moment**: 0.00 μB/cell
# **Space group**: R-3

Entry x
# Li3BH6 | the Materials Project | PBE | optimized geometry
data_Li3BH6
_space_group_name_H-M_alt 'P 1'
_space_group_IT_number 1
_space_group_name_Hall 'P 1'
_cell_length_a 5.1828
_cell_length_b 5.1828
_cell_length_c 5.1828
_cell_angle_alpha 92.16
_cell_angle_beta 92.16
_cell_angle_gamma 92.16
loop_
_atom_site_label
_atom_site_fract_x
_atom_site_fract_y
_atom_site_fract_z
Li1 0.0803 0.7584 0.5844
Li2 0.2416 0.4156 0.9197
Li3 0.4156 0.9197 0.2416
Li4 0.5844 0.0803 0.7584
Li5 0.7584 0.5844 0.0803
Li6 0.9197 0.2416 0.4156
B1 0.0000 0.0000 0.0000
B2 0.5000 0.5000 0.5000
H1 0.0532 0.7358 0.9307
H2 0.0693 0.9468 0.2642
H3 0.2349 0.4218 0.5507
H4 0.2642 0.0693 0.9468
H5 0.4218 0.5507 0.2349
H6 0.4493 0.7651 0.5782
H7 0.5507 0.2349 0.4218
H8 0.5782 0.4493 0.7651
H9 0.7358 0.9307 0.0532
H10 0.7651 0.5782 0.4493
H11 0.9307 0.0532 0.7358
H12 0.9468 0.2642 0.0693
# **Size of the total moment**: 0.00 μB/cell
# **Space group**: R-3

What should be chosen as the least stable of them? Choose entry w.

Entry w
# MgB2H8 | the Materials Project | PBE | optimized geometry
data_MgB2H8
_space_group_name_H-M_alt 'P 1'
_space_group_IT_number 1
_space_group_name_Hall 'P 1'
_cell_length_a 5.6491
_cell_length_b 5.6491
_cell_length_c 6.0408
_cell_angle_alpha 90.00
_cell_angle_beta 90.00
_cell_angle_gamma 90.00
loop_
_atom_site_label
_atom_site_fract_x
_atom_site_fract_y
_atom_site_fract_z
Mg1 0.0000 0.0000 0.0000
Mg2 0.5000 0.5000 0.5000
B1 0.2394 0.2394 0.7444
B2 0.2606 0.7394 0.2444
B3 0.7394 0.2606 0.2444
B4 0.7606 0.7606 0.7444
H1 0.0403 0.3004 0.8033
H2 0.1204 0.8796 0.3237
H3 0.1996 0.5403 0.3033
H4 0.2335 0.2335 0.5442
H5 0.2665 0.7335 0.0442
H6 0.3004 0.0403 0.8033
H7 0.3796 0.3796 0.8237
H8 0.4597 0.8004 0.3033
H9 0.5403 0.1996 0.3033
H10 0.6204 0.6204 0.8237
H11 0.6996 0.9597 0.8033
H12 0.7335 0.2665 0.0442
H13 0.7665 0.7665 0.5442
H14 0.8004 0.4597 0.3033
H15 0.8796 0.1204 0.3237
H16 0.9597 0.6996 0.8033
# **Size of the total moment**: 0.00 μB/cell
# **Space group**: P4_2nm

Entry x
# MgB2H8 | the Materials Project | PBE | optimized geometry
data_MgB2H8
_space_group_name_H-M_alt 'P 1'
_space_group_IT_number 1
_space_group_name_Hall 'P 1'
_cell_length_a 7.6976
_cell_length_b 7.6976
_cell_length_c 7.6976
_cell_angle_alpha 115.25
_cell_angle_beta 115.25
_cell_angle_gamma 98.44
loop_
_atom_site_label
_atom_site_fract_x
_atom_site_fract_y
_atom_site_fract_z
Mg1 0.0000 0.0000 0.0000
Mg2 0.7500 0.2500 0.5000
B1 0.3689 0.0995 0.2694
B2 0.8301 0.0995 0.7306
B3 0.9005 0.1699 0.2694
B4 0.9005 0.6311 0.7306
H1 0.0214 0.2727 0.2513
H2 0.0214 0.7701 0.7487
H3 0.0222 0.1650 0.8572
H4 0.2299 0.9786 0.2513
H5 0.3078 0.1650 0.1428
H6 0.4682 0.0012 0.2160
H7 0.4682 0.2522 0.4670
H8 0.7273 0.9786 0.7487
H9 0.7478 0.2148 0.2160
H10 0.7478 0.5318 0.5330
H11 0.7852 0.0012 0.5330
H12 0.7852 0.2522 0.7840
H13 0.8350 0.6922 0.8572
H14 0.8350 0.9778 0.1428
H15 0.9988 0.2148 0.4670
H16 0.9988 0.5318 0.7840
# **Size of the total moment**: 0.00 μB/cell
# **Space group**: I-4m2

Entry y
# MgB2H8 | the Materials Project | PBE | optimized geometry
data_MgB2H8
_space_group_name_H-M_alt 'P 1'
_space_group_IT_number 1
_space_group_name_Hall 'P 1'
_cell_length_a 7.3439
_cell_length_b 7.3439
_cell_length_c 7.3439
_cell_angle_alpha 110.84
_cell_angle_beta 110.84
_cell_angle_gamma 106.77
loop_
_atom_site_label
_atom_site_fract_x
_atom_site_fract_y
_atom_site_fract_z
Mg1 0.0000 0.0000 0.0000
Mg2 0.7500 0.2500 0.5000
B1 0.3924 0.1689 0.2235
B2 0.8311 0.0547 0.2235
B3 0.8311 0.6076 0.7765
B4 0.9453 0.1689 0.7765
H1 0.0496 0.3056 0.7440
H2 0.2951 0.0218 0.0243
H3 0.2951 0.2708 0.2734
H4 0.4192 0.0808 0.3383
H5 0.5616 0.3056 0.2560
H6 0.6944 0.4384 0.7440
H7 0.6944 0.9504 0.2560
H8 0.7292 0.0026 0.0243
H9 0.7292 0.7049 0.7266
H10 0.7425 0.0808 0.6617
H11 0.9192 0.2575 0.3383
H12 0.9192 0.5808 0.6617
H13 0.9782 0.0026 0.2734
H14 0.9782 0.7049 0.9757
H15 0.9974 0.0218 0.7266
H16 0.9974 0.2708 0.9757
# **Size of the total moment**: 0.00 μB/cell
# **Space group**: I-4m2

What should be chosen as the least stable of them? Choose entry w.